Entry from the Materials Project: an optimized crystal structure of TmSiRu (r²SCAN).

E_form: -89 kJ/mol of atoms
Calculated total energy: -24.028 eV per atom
Total magnetic moment: 0.0 Bohr magnetons per cell
ρ: 9.6 g/cm3

Structure (POSCAR):
```
TmSiRu
1.0
4.275 0.000 0.000
0.000 6.900 0.000
0.000 0.000 7.027
Tm Si Ru
4 4 4
direct
0.250 0.987 0.188
0.750 0.013 0.812
0.250 0.487 0.312
0.750 0.513 0.688
0.250 0.303 0.893
0.750 0.697 0.107
0.250 0.803 0.607
0.750 0.197 0.393
0.750 0.846 0.434
0.250 0.154 0.566
0.750 0.346 0.066
0.250 0.654 0.934
```

=====

Entry from the Materials Project: an optimized crystal structure of Th2NiB10 (r²SCAN).

E_form: -61 kJ/mol of atoms
Calculated total energy: -18.511 eV per atom
Total magnetic moment: 0.0 Bohr magnetons per cell
ρ: 7.9 g/cm3

Structure (POSCAR):
```
Th2NiB10
1.0
-1.892 -2.661 2.606
0.362 -4.070 -3.892
9.961 -3.051 4.117
Th Ni B
4 2 20
direct
0.500 0.306 0.864
0.500 0.694 0.136
0.500 0.806 0.636
0.500 0.194 0.364
0.000 0.500 0.500
0.000 0.000 0.000
0.000 0.125 0.541
0.000 0.875 0.459
0.000 0.625 0.959
0.000 0.375 0.041
0.000 0.154 0.697
0.000 0.846 0.303
0.300 0.201 0.113
0.300 0.799 0.887
0.700 0.701 0.387
0.700 0.299 0.613
0.700 0.799 0.887
0.700 0.201 0.113
0.300 0.299 0.613
0.300 0.701 0.387
0.000 0.035 0.188
0.000 0.965 0.812
0.000 0.535 0.312
0.000 0.465 0.688
0.000 0.346 0.197
0.000 0.654 0.803
```

=====

Entry from the Materials Project: an optimized crystal structure of ScGe (r²SCAN).

E_form: -85 kJ/mol of atoms
Calculated total energy: -13.521 eV per atom
Total magnetic moment: 0.0 Bohr magnetons per cell
ρ: 5.1 g/cm3

Structure (POSCAR):
```
ScGe
1.0
3.775 0.000 0.000
0.000 3.725 -1.484
0.000 0.006 5.434
Sc Ge
2 2
direct
0.750 0.137 0.274
0.250 0.863 0.726
0.750 0.410 0.821
0.250 0.590 0.179
```

=====

Entry from the Materials Project: an optimized crystal structure of Al4C3 (r²SCAN).

E_form: -23 kJ/mol of atoms
Calculated total energy: -8.348 eV per atom
Total magnetic moment: 0.0 Bohr magnetons per cell
ρ: 3.0 g/cm3

Structure (POSCAR):
```
Al4C3
1.0
-7.171 -2.350 3.966
-5.376 -1.166 6.513
-7.123 0.924 4.592
Al C
4 3
direct
0.870 0.870 0.870
0.130 0.130 0.130
0.706 0.706 0.706
0.294 0.294 0.294
0.783 0.783 0.783
0.217 0.217 0.217
0.000 0.000 0.000
```

=====

Entry from the Materials Project: an optimized crystal structure of Na2MnCl4 (r²SCAN).

E_form: -178 kJ/mol of atoms
Calculated total energy: -8.472 eV per atom
Total magnetic moment: 10.0 Bohr magnetons per cell
ρ: 2.6 g/cm3

Structure (POSCAR):
```
Na2MnCl4
1.0
3.827 0.000 0.000
0.000 6.876 0.000
0.000 0.000 11.891
Na Mn Cl
4 2 8
direct
0.500 0.084 0.681
0.500 0.916 0.319
0.500 0.416 0.181
0.500 0.584 0.819
0.000 0.500 0.500
0.000 0.000 0.000
0.500 0.740 0.545
0.500 0.260 0.455
0.000 0.123 0.197
0.000 0.877 0.803
0.000 0.623 0.303
0.000 0.377 0.697
0.500 0.240 0.955
0.500 0.760 0.045
```

=====

Entry from the Materials Project: an optimized crystal structure of Er2IrRh (r²SCAN).

E_form: -100 kJ/mol of atoms
Calculated total energy: -37.119 eV per atom
Total magnetic moment: 0.0 Bohr magnetons per cell
ρ: 13.7 g/cm3

Structure (POSCAR):
```
Er2IrRh
1.0
0.002 3.372 3.372
3.372 0.002 3.372
3.372 3.372 0.002
Er Ir Rh
2 1 1
direct
0.000 0.000 0.000
0.500 0.500 0.500
0.250 0.250 0.250
0.750 0.750 0.750
```

=====

Entry from the Materials Project: an optimized crystal structure of ThPt3 (r²SCAN).

E_form: -112 kJ/mol of atoms
Calculated total energy: -58.140 eV per atom
Total magnetic moment: 0.0 Bohr magnetons per cell
ρ: 18.0 g/cm3

Structure (POSCAR):
```
ThPt3
1.0
-0.874 4.554 -3.642
1.017 -5.377 -2.195
-4.929 -0.937 0.011
Th Pt
2 6
direct
0.333 0.667 0.750
0.667 0.333 0.250
0.160 0.320 0.250
0.680 0.840 0.250
0.160 0.840 0.250
0.840 0.680 0.750
0.320 0.160 0.750
0.840 0.160 0.750
```

=====

Entry from the Materials Project: an optimized crystal structure of LaAlPt (r²SCAN).

E_form: -111 kJ/mol of atoms
Calculated total energy: -30.467 eV per atom
Total magnetic moment: 0.0 Bohr magnetons per cell
ρ: 9.2 g/cm3

Structure (POSCAR):
```
LaAlPt
1.0
-1.246 1.552 4.123
3.213 -5.769 3.142
6.664 3.990 0.512
La Al Pt
4 4 4
direct
0.250 0.040 0.674
0.250 0.540 0.826
0.750 0.960 0.326
0.750 0.460 0.174
0.250 0.139 0.066
0.250 0.639 0.434
0.750 0.861 0.934
0.750 0.361 0.566
0.250 0.289 0.381
0.250 0.789 0.119
0.750 0.711 0.619
0.750 0.211 0.881
```